First-principles (PBE) data for a geometry-optimized KB6H6O6 structure, as listed in the Materials Project database.

Cell: 7.2064 10.2578 11.2108 Å, 90.00 125.75 90.00°
Space group P2_1/c (No. 14)
Asymmetric unit:
K (0.2467, 0.0510, 0.0124) (multiplicity 4)
B (0.0245, 0.6599, 0.9675) (multiplicity 4)
B (0.0798, 0.5285, 0.8853) (multiplicity 4)
B (0.1043, 0.6042, 0.1433) (multiplicity 4)
B (0.1952, 0.1048, 0.5139) (multiplicity 4)
B (0.2074, 0.0588, 0.6720) (multiplicity 4)
B (0.2714, 0.5586, 0.0804) (multiplicity 4)
H (0.0836, 0.6926, 0.3772) (multiplicity 4)
H (0.1549, 0.6395, 0.7690) (multiplicity 4)
H (0.3550, 0.7163, 0.3173) (multiplicity 4)
H (0.3827, 0.0482, 0.3237) (multiplicity 4)
H (0.4151, 0.1709, 0.4709) (multiplicity 4)
H (0.4229, 0.1966, 0.8192) (multiplicity 4)
O (0.0412, 0.7029, 0.4458) (multiplicity 4)
O (0.1448, 0.5456, 0.7853) (multiplicity 4)
O (0.1917, 0.6949, 0.2658) (multiplicity 4)
O (0.3629, 0.1965, 0.5314) (multiplicity 4)
O (0.3802, 0.1053, 0.8186) (multiplicity 4)
O (0.4979, 0.6145, 0.1483) (multiplicity 4)

Size of the total moment in μB per atom: 0.00
Formation energy in eV/f.u.: -26.7
Distance to the lowest polymorph of the same formula in meV per atom: 0

***

First-principles (PBE) data for a geometry-optimized K2B10H13O2 structure, as listed in the Materials Project database.

Cell: 7.1179 7.8146 11.1056 Å, 107.08 92.38 95.76°
Space group P-1 (No. 2)
Asymmetric unit:
K (0.1890, 0.2488, 0.4323) (multiplicity 2)
K (0.2091, 0.5573, 0.8766) (multiplicity 2)
B (0.1791, 0.5919, 0.3151) (multiplicity 2)
B (0.1811, 0.7396, 0.2153) (multiplicity 2)
B (0.2204, 0.8319, 0.3854) (multiplicity 2)
B (0.2341, 0.5232, 0.1617) (multiplicity 2)
B (0.3841, 0.6899, 0.4242) (multiplicity 2)
B (0.3881, 0.8987, 0.2833) (multiplicity 2)
B (0.4144, 0.5366, 0.2707) (multiplicity 2)
B (0.4173, 0.6850, 0.1707) (multiplicity 2)
B (0.4475, 0.2441, 0.6778) (multiplicity 2)
B (0.4526, 0.9131, 0.4379) (multiplicity 2)
H (0.0490, 0.5108, 0.3493) (multiplicity 2)
H (0.0545, 0.7890, 0.1632) (multiplicity 2)
H (0.0953, 0.9055, 0.4415) (multiplicity 2)
H (0.1490, 0.9391, 0.8078) (multiplicity 2)
H (0.1668, 0.3967, 0.0749) (multiplicity 2)
H (0.2603, 0.9034, 0.6877) (multiplicity 2)
H (0.2749, 0.9811, 0.0792) (multiplicity 2)
H (0.2770, 0.2379, 0.6782) (multiplicity 2)
H (0.3806, 0.9490, 0.9560) (multiplicity 2)
H (0.4044, 0.6377, 0.5152) (multiplicity 2)
H (0.4126, 0.0336, 0.2499) (multiplicity 2)
H (0.4926, 0.4049, 0.2653) (multiplicity 2)
H (0.4984, 0.3138, 0.9210) (multiplicity 2)
O (0.1565, 0.8507, 0.7255) (multiplicity 2)
O (0.2571, 0.9659, 0.9883) (multiplicity 2)

Size of the total moment in μB per atom: 0.00
Formation energy in eV/f.u.: -13.5

***

First-principles (PBE) data for a geometry-optimized KB5H2O9 structure, as listed in the Materials Project database.

Cell: 8.0194 9.1399 12.5106 Å, 90.00 120.09 90.00°
Space group P2_1/c (No. 14)
Asymmetric unit:
K (0.1418, 0.0743, 0.2596) (multiplicity 4)
B (0.0229, 0.7413, 0.0343) (multiplicity 4)
B (0.2713, 0.5640, 0.0803) (multiplicity 4)
B (0.2768, 0.7031, 0.2527) (multiplicity 4)
B (0.3879, 0.6460, 0.4709) (multiplicity 4)
B (0.4629, 0.1555, 0.5763) (multiplicity 4)
H (0.2053, 0.1231, 0.0295) (multiplicity 4)
H (0.4735, 0.5633, 0.6413) (multiplicity 4)
O (0.0887, 0.7367, 0.6566) (multiplicity 4)
O (0.1146, 0.6459, 0.9933) (multiplicity 4)
O (0.1402, 0.1907, 0.0576) (multiplicity 4)
O (0.2504, 0.6344, 0.3497) (multiplicity 4)
O (0.3302, 0.0424, 0.5270) (multiplicity 4)
O (0.3528, 0.5891, 0.2028) (multiplicity 4)
O (0.3766, 0.5522, 0.5535) (multiplicity 4)
O (0.4147, 0.6727, 0.8015) (multiplicity 4)
O (0.4668, 0.2476, 0.4880) (multiplicity 4)

Size of the total moment in μB per atom: 0.00
Formation energy in eV/f.u.: -43.5

***

First-principles (PBE) data for a geometry-optimized KB5H4O10 structure, as listed in the Materials Project database.

Cell: 9.5043 7.6454 11.5676 Å, 90.00 97.18 90.00°
Space group P2_1/c (No. 14)
Asymmetric unit:
K (0.1741, 0.0715, 0.2309) (multiplicity 4)
B (0.0659, 0.6913, 0.0692) (multiplicity 4)
B (0.1320, 0.0923, 0.9234) (multiplicity 4)
B (0.2017, 0.5500, 0.2436) (multiplicity 4)
B (0.2463, 0.0187, 0.5393) (multiplicity 4)
B (0.3260, 0.6128, 0.4446) (multiplicity 4)
H (0.4016, 0.1708, 0.4878) (multiplicity 4)
H (0.4027, 0.6965, 0.7750) (multiplicity 4)
H (0.4380, 0.6598, 0.5986) (multiplicity 4)
H (0.4668, 0.0674, 0.7289) (multiplicity 4)
O (0.0422, 0.1979, 0.9799) (multiplicity 4)
O (0.1021, 0.6807, 0.1863) (multiplicity 4)
O (0.1197, 0.0765, 0.8056) (multiplicity 4)
O (0.1372, 0.5944, 0.9928) (multiplicity 4)
O (0.2344, 0.9998, 0.9956) (multiplicity 4)
O (0.2765, 0.0449, 0.6570) (multiplicity 4)
O (0.3097, 0.6390, 0.3267) (multiplicity 4)
O (0.3167, 0.1013, 0.4584) (multiplicity 4)
O (0.4328, 0.6965, 0.5136) (multiplicity 4)
O (0.4387, 0.5978, 0.7306) (multiplicity 4)

Size of the total moment in μB per atom: 0.00
Formation energy in eV/f.u.: -47.5

***

First-principles (PBE) data for a geometry-optimized KB3H6O8 structure, as listed in the Materials Project database.

Cell: 18.2627 6.2940 17.0056 Å, 90.00 107.26 90.00°
Space group C2/c (No. 15)
Asymmetric unit:
K (0.0000, 0.0785, 0.2500) (multiplicity 4)
K (0.2500, 0.2500, 0.5000) (multiplicity 4)
B (0.0503, 0.4713, 0.3814) (multiplicity 8)
B (0.1011, 0.4919, 0.1416) (multiplicity 8)
B (0.1436, 0.0098, 0.1112) (multiplicity 8)
H (0.0043, 0.1551, 0.5745) (multiplicity 8)
H (0.1553, 0.2249, 0.9053) (multiplicity 8)
H (0.1722, 0.0779, 0.2633) (multiplicity 8)
H (0.2026, 0.0809, 0.8554) (multiplicity 8)
H (0.2138, 0.1076, 0.2816) (multiplicity 8)
H (0.2463, 0.1800, 0.0966) (multiplicity 8)
O (0.0323, 0.4769, 0.1466) (multiplicity 8)
O (0.0417, 0.2179, 0.9671) (multiplicity 8)
O (0.0825, 0.3280, 0.9157) (multiplicity 8)
O (0.0857, 0.0348, 0.6331) (multiplicity 8)
O (0.0930, 0.3189, 0.3690) (multiplicity 8)
O (0.1689, 0.4966, 0.1421) (multiplicity 8)
O (0.2052, 0.0352, 0.0906) (multiplicity 8)
O (0.2076, 0.1727, 0.9032) (multiplicity 8)

Size of the total moment in μB per atom: 0.00
Formation energy in eV/f.u.: -28.5

***

First-principles (PBE) data for a geometry-optimized KB6H6O6 structure, as listed in the Materials Project database.

Cell: 7.9805 10.9840 12.3958 Å, 90.00 125.86 90.00°
Space group P2_1/c (No. 14)
Asymmetric unit:
K (0.2283, 0.0441, 0.4858) (multiplicity 4)
B (0.0425, 0.1114, 0.1614) (multiplicity 4)
B (0.0942, 0.0488, 0.0649) (multiplicity 4)
B (0.1709, 0.1477, 0.9977) (multiplicity 4)
B (0.1906, 0.5870, 0.5518) (multiplicity 4)
B (0.1944, 0.5906, 0.6988) (multiplicity 4)
B (0.2322, 0.7492, 0.5918) (multiplicity 4)
H (0.0243, 0.2178, 0.8012) (multiplicity 4)
H (0.2412, 0.0826, 0.7602) (multiplicity 4)
H (0.3080, 0.5656, 0.5228) (multiplicity 4)
H (0.3265, 0.1282, 0.7842) (multiplicity 4)
H (0.4339, 0.2191, 0.1463) (multiplicity 4)
H (0.4747, 0.6381, 0.1700) (multiplicity 4)
O (0.0255, 0.1442, 0.8544) (multiplicity 4)
O (0.0346, 0.1617, 0.2473) (multiplicity 4)
O (0.0791, 0.6758, 0.0196) (multiplicity 4)
O (0.3410, 0.2154, 0.0470) (multiplicity 4)
O (0.3423, 0.5771, 0.8233) (multiplicity 4)
O (0.4450, 0.7204, 0.1844) (multiplicity 4)

Size of the total moment in μB per atom: 0.00
Formation energy in eV/f.u.: -23.7
Distance to the lowest polymorph of the same formula in meV per atom: 160